32
Lattice="5.0003 0.0000 0.0000 0.0000 7.1066 0.0000 0.0000 0.0000 11.7077" Properties=species:S:1:pos:R:3 comment="LiTiSi4O10 (PBE, optimized geometry)" e_above_lowest_polymorph_kj_per_mol_atoms=2.1 magmom_total_mub_per_cell=2.001 delta_e_f_mev_per_atom=-3121.7 pbc="T T T"
Li 2.5001 3.5533 3.4704
Li 2.5001 0.0000 9.3242
Ti 0.0000 3.5533 4.4173
Ti 0.0000 0.0000 10.2712
Si 0.4133 1.5037 1.9566
Si 0.4133 2.0496 7.8105
Si 2.0777 5.0455 0.1640
Si 2.0777 5.6144 6.0179
Si 2.9226 2.0611 0.1640
Si 2.9226 1.4922 6.0179
Si 4.5870 5.0570 7.8105
Si 4.5870 5.6029 1.9566
O 0.0000 0.0000 2.4344
O 0.0000 3.5533 8.2883
O 4.0605 2.2175 1.3406
O 4.0605 1.3358 7.1945
O 0.9777 2.3795 3.1965
O 0.9777 1.1738 9.0504
O 1.4826 4.7017 4.8158
O 1.4826 5.9582 10.6697
O 3.4480 5.7516 0.7687
O 3.4480 4.9083 6.6226
O 2.5001 3.5533 11.3654
O 2.5001 0.0000 5.5116
O 1.5523 2.1983 6.6226
O 1.5523 1.3550 0.7687
O 3.5177 2.4049 4.8158
O 3.5177 1.1484 10.6697
O 4.0226 5.9328 9.0504
O 4.0226 4.7271 3.1965
O 0.9398 5.7708 7.1945
O 0.9398 4.8891 1.3406